Record 1
Li7Mn2Co3O12 | the Materials Project | PBE with a Hubbard U | relaxed; energy of formation = -44.1 eV per formula unit; M_tot = 14.00 μB/cell; polymorph energy (0 for the lowest one) = 0.0977 eV/atom; VASP energy = -139.95 eV per cell; space-group type = No. 1
1.0
-2.679 -0.060 1.401
-1.796 -3.416 -3.259
3.668 -11.062 8.393
Li Mn Co O
7 2 3 12
Direct
0.004 0.336 0.168
0.507 0.170 0.334
0.000 0.000 0.500
0.492 0.830 0.667
0.996 0.665 0.832
0.500 0.500 0.999
0.499 0.500 0.501
0.993 0.002 0.998
0.504 0.828 0.169
0.011 0.662 0.343
0.998 0.335 0.659
0.495 0.174 0.830
0.529 0.148 0.085
0.026 0.966 0.254
0.529 0.823 0.411
0.001 0.633 0.594
0.533 0.480 0.748
0.989 0.316 0.915
0.475 0.517 0.252
0.999 0.366 0.408
0.476 0.176 0.590
0.008 0.035 0.747
0.463 0.856 0.913
0.971 0.683 0.083

---

Record 2
Li5MnCo2O8 | the Materials Project | PBE with a Hubbard U | relaxed; energy of formation = -30.1 eV per formula unit; M_tot = 4.00 μB/cell; polymorph energy (0 for the lowest one) = 0.0061 eV/atom; VASP energy = -92.15 eV per cell; space-group type = No. 5
1.0
-0.773 -3.876 -4.372
1.778 1.219 -5.486
4.403 -2.365 -0.737
Li Mn Co O
5 1 2 8
Direct
0.750 0.748 0.500
0.999 0.501 0.999
0.252 0.250 0.500
0.499 0.001 0.001
0.250 0.750 0.500
0.001 0.999 0.000
0.492 0.508 0.000
0.750 0.250 0.500
0.089 0.125 0.250
0.355 0.880 0.778
0.629 0.584 0.257
0.880 0.360 0.760
0.416 0.371 0.743
0.640 0.120 0.240
0.875 0.911 0.750
0.120 0.645 0.222

---

Record 3
Li4MnCo2O7 | the Materials Project | PBE with a Hubbard U | relaxed; energy of formation = -25.2 eV per formula unit; M_tot = 11.30 μB/cell; polymorph energy (0 for the lowest one) = 0.0838 eV/atom; VASP energy = -162.20 eV per cell; space-group type = No. 8
1.0
2.914 0.000 0.000
1.457 10.370 2.069
0.000 0.046 8.446
Li Mn Co O
8 2 4 14
Direct
0.424 0.153 0.225
0.290 0.420 0.637
0.147 0.706 0.072
0.998 0.004 0.505
0.855 0.290 0.926
0.716 0.567 0.352
0.571 0.857 0.784
0.857 0.286 0.423
0.998 0.004 0.992
0.573 0.854 0.286
0.714 0.571 0.867
0.423 0.154 0.684
0.288 0.424 0.156
0.144 0.711 0.579
0.436 0.127 0.972
0.285 0.431 0.361
0.150 0.701 0.828
0.007 0.986 0.238
0.859 0.282 0.682
0.718 0.564 0.105
0.581 0.838 0.545
0.432 0.136 0.476
0.281 0.437 0.917
0.136 0.727 0.316
0.994 0.012 0.765
0.852 0.297 0.172
0.709 0.582 0.612
0.561 0.877 0.021

---

Record 4
Li4MnCo2O7 | the Materials Project | PBE with a Hubbard U | relaxed; energy of formation = -25.5 eV per formula unit; M_tot = 12.00 μB/cell; polymorph energy (0 for the lowest one) = 0.0600 eV/atom; VASP energy = -162.86 eV per cell; space-group type = No. 1
1.0
-2.239 -1.914 0.424
2.891 -1.972 7.308
-5.478 6.598 6.337
Li Mn Co O
8 2 4 14
Direct
0.147 0.073 0.712
0.860 0.932 0.286
0.580 0.783 0.850
0.721 0.355 0.571
0.425 0.226 0.149
0.277 0.636 0.431
0.989 0.494 0.007
0.870 0.424 0.280
0.992 0.004 0.001
0.422 0.704 0.148
0.716 0.858 0.571
0.141 0.573 0.712
0.571 0.289 0.855
0.294 0.153 0.424
0.594 0.046 0.860
0.310 0.909 0.438
0.964 0.753 0.017
0.166 0.333 0.721
0.880 0.173 0.299
0.740 0.619 0.574
0.436 0.480 0.141
0.694 0.095 0.565
0.398 0.955 0.138
0.120 0.811 0.708
0.280 0.366 0.434
0.976 0.247 0.991
0.889 0.681 0.270
0.548 0.528 0.846

---

Record 5
Li4MnCo2O7 | the Materials Project | PBE with a Hubbard U | relaxed; energy of formation = -26.0 eV per formula unit; M_tot = 18.00 μB/cell; polymorph energy (0 for the lowest one) = 0.0295 eV/atom; VASP energy = -163.72 eV per cell; space-group type = No. 1
1.0
4.960 0.000 0.000
-1.628 5.645 0.000
-0.970 -0.332 8.868
Li Mn Co O
8 2 4 14
Direct
0.436 0.365 0.839
0.709 0.926 0.436
0.866 0.218 0.708
0.147 0.781 0.298
0.290 0.067 0.570
0.567 0.641 0.145
0.996 0.504 0.998
0.293 0.576 0.572
0.997 0.997 0.001
0.140 0.284 0.286
0.564 0.140 0.144
0.855 0.713 0.703
0.430 0.857 0.855
0.720 0.435 0.436
0.271 0.295 0.082
0.595 0.892 0.654
0.704 0.155 0.946
0.987 0.744 0.500
0.148 0.028 0.809
0.420 0.573 0.347
0.852 0.433 0.214
0.596 0.399 0.638
0.855 0.985 0.202
0.998 0.254 0.476
0.278 0.847 0.076
0.419 0.117 0.340
0.716 0.705 0.932
0.151 0.567 0.794

---

Record 6
Li4MnCo3O8 | the Materials Project | PBE with a Hubbard U | relaxed; energy of formation = -28.6 eV per formula unit; M_tot = 14.00 μB/cell; polymorph energy (0 for the lowest one) = 0.0111 eV/atom; VASP energy = -94.19 eV per cell; space-group type = No. 2
1.0
1.413 -4.689 -1.129
-1.674 -0.740 4.833
-4.651 -0.677 -3.563
Li Mn Co O
4 1 3 8
Direct
0.248 0.503 0.625
0.749 0.498 0.873
0.251 0.502 0.127
0.752 0.497 0.375
0.500 0.000 0.000
0.989 0.003 0.257
0.500 0.000 0.500
0.011 0.997 0.743
0.374 0.228 0.826
0.855 0.224 0.052
0.375 0.227 0.294
0.884 0.238 0.558
0.116 0.762 0.442
0.625 0.773 0.706
0.145 0.776 0.948
0.626 0.772 0.174

---

Record 7
Li7Mn2Co3O12 | the Materials Project | PBE with a Hubbard U | relaxed; energy of formation = -45.6 eV per formula unit; M_tot = 8.00 μB/cell; polymorph energy (0 for the lowest one) = 0.0333 eV/atom; VASP energy = -141.50 eV per cell; space-group type = No. 2
1.0
-5.241 2.293 -1.160
0.391 -5.588 1.842
1.879 3.838 6.409
Li Mn Co O
7 2 3 12
Direct
0.998 0.337 0.828
0.502 0.333 0.831
0.002 0.663 0.172
0.498 0.667 0.169
0.000 0.000 0.500
0.500 0.000 0.500
0.000 0.500 0.500
0.001 0.838 0.828
0.999 0.162 0.172
0.489 0.826 0.822
0.511 0.174 0.178
0.500 0.500 0.500
0.769 0.924 0.679
0.245 0.923 0.682
0.755 0.230 0.011
0.227 0.223 0.002
0.714 0.546 0.331
0.243 0.543 0.330
0.245 0.770 0.989
0.773 0.777 0.998
0.231 0.076 0.321
0.755 0.077 0.318
0.286 0.454 0.669
0.757 0.457 0.670

---

Record 8
Li5Mn2CoO8 | the Materials Project | PBE with a Hubbard U | relaxed; energy of formation = -28.5 eV per formula unit; M_tot = 13.32 μB/cell; polymorph energy (0 for the lowest one) = 0.2511 eV/atom; VASP energy = -92.62 eV per cell; space-group type = No. 160
1.0
-2.116 -2.580 -19.462
-4.996 -3.066 -18.856
-4.020 -0.288 -19.331
Li Mn Co O
5 2 1 8
Direct
0.130 0.130 0.130
0.873 0.873 0.873
0.622 0.622 0.622
0.375 0.375 0.375
0.500 0.500 0.500
0.000 0.000 0.000
0.750 0.750 0.750
0.250 0.250 0.250
0.188 0.188 0.188
0.936 0.936 0.936
0.686 0.686 0.686
0.434 0.434 0.434
0.064 0.064 0.064
0.812 0.812 0.812
0.566 0.566 0.566
0.315 0.315 0.315

---

Record 9
Li7Mn4CoO12 | the Materials Project | PBE with a Hubbard U | relaxed; energy of formation = -49.4 eV per formula unit; M_tot = 14.00 μB/cell; polymorph energy (0 for the lowest one) = 0.0267 eV/atom; VASP energy = -149.32 eV per cell; space-group type = No. 5
1.0
-0.253 -3.752 5.289
3.590 -4.884 -2.316
4.538 1.662 2.046
Li Mn Co O
7 4 1 12
Direct
0.085 0.418 0.750
0.582 0.915 0.250
0.921 0.592 0.257
0.408 0.079 0.743
0.750 0.746 0.749
0.254 0.250 0.251
0.168 0.832 0.500
0.001 0.999 0.000
0.333 0.667 0.000
0.835 0.165 0.500
0.666 0.334 0.000
0.498 0.502 0.500
0.952 0.282 0.107
0.450 0.764 0.649
0.781 0.453 0.606
0.283 0.948 0.103
0.614 0.618 0.108
0.100 0.117 0.653
0.236 0.550 0.351
0.718 0.048 0.893
0.052 0.717 0.897
0.547 0.219 0.394
0.883 0.900 0.347
0.382 0.386 0.892

---

Record 10
Li5MnCo2O8 | the Materials Project | PBE with a Hubbard U | relaxed; energy of formation = -29.7 eV per formula unit; M_tot = 6.00 μB/cell; polymorph energy (0 for the lowest one) = 0.0278 eV/atom; VASP energy = -91.80 eV per cell; space-group type = No. 2
1.0
-1.147 4.947 -0.753
-2.722 -1.344 -4.869
-2.277 -1.674 5.122
Li Mn Co O
5 1 2 8
Direct
0.497 0.243 0.501
0.503 0.250 0.998
0.497 0.750 0.002
0.503 0.757 0.499
0.000 0.000 0.500
0.000 0.000 0.000
0.000 0.500 0.500
0.000 0.500 0.000
0.220 0.390 0.729
0.241 0.354 0.233
0.230 0.862 0.227
0.215 0.865 0.756
0.785 0.135 0.244
0.770 0.138 0.773
0.759 0.646 0.767
0.780 0.610 0.271

---

Record 11
Li4MnCo2O7 | the Materials Project | PBE with a Hubbard U | relaxed; energy of formation = -25.6 eV per formula unit; M_tot = 14.00 μB/cell; polymorph energy (0 for the lowest one) = 0.0567 eV/atom; VASP energy = -162.96 eV per cell; space-group type = No. 1
1.0
-0.948 1.699 -2.249
-2.092 -4.599 -3.164
-13.550 0.783 4.498
Li Mn Co O
8 2 4 14
Direct
0.006 0.497 0.995
0.576 0.796 0.853
0.139 0.076 0.719
0.426 0.213 0.145
0.858 0.927 0.285
0.285 0.643 0.429
0.712 0.358 0.574
0.568 0.278 0.854
0.005 0.007 0.995
0.286 0.142 0.429
0.137 0.561 0.721
0.712 0.854 0.574
0.859 0.431 0.285
0.436 0.717 0.143
0.520 0.775 0.006
0.061 0.029 0.867
0.617 0.342 0.713
0.900 0.477 0.148
0.329 0.190 0.290
0.756 0.894 0.436
0.183 0.617 0.583
0.477 0.220 0.000
0.080 0.544 0.844
0.671 0.808 0.707
0.960 0.950 0.137
0.385 0.667 0.279
0.814 0.390 0.422
0.241 0.095 0.568

---

Record 12
Li7Mn4CoO12 | the Materials Project | PBE with a Hubbard U | relaxed; energy of formation = -49.0 eV per formula unit; M_tot = 14.00 μB/cell; polymorph energy (0 for the lowest one) = 0.0436 eV/atom; VASP energy = -148.92 eV per cell; space-group type = No. 8
1.0
-1.683 -6.891 3.648
-1.159 -5.214 5.925
-9.592 1.376 1.197
Li Mn Co O
7 4 1 12
Direct
0.585 0.585 0.756
0.748 0.748 0.244
0.916 0.916 0.750
0.247 0.247 0.754
0.417 0.417 0.252
0.087 0.087 0.244
0.667 0.667 0.000
0.004 0.004 0.997
0.329 0.329 0.003
0.169 0.169 0.499
0.498 0.498 0.500
0.833 0.833 0.501
0.455 0.455 0.893
0.633 0.633 0.380
0.798 0.798 0.887
0.109 0.109 0.887
0.300 0.300 0.387
0.963 0.963 0.382
0.703 0.703 0.618
0.878 0.878 0.107
0.033 0.033 0.617
0.366 0.366 0.616
0.536 0.536 0.113
0.225 0.225 0.114